# 1
KMgMn2O4 | PBE with a Hubbard U | optimized geometry

Cell: 3.2278 5.5134 5.6195 Å, 106.12 92.86 93.06°
Sites, in units of the cell vectors:
K 0.0000 0.0000 0.0000
Mg 0.5000 0.0000 0.5000
Mn 0.0000 0.5000 0.5000
Mn 0.5000 0.5000 0.0000
O 0.0055 0.2663 0.7145
O 0.4600 0.7137 0.7065
O 0.5400 0.2863 0.2935
O 0.9945 0.7337 0.2855

Summary:
The value obtained for the total energy is -51.30 eV/cell. The calculation puts the MP2020-corrected energy at -7.173 eV/atom. Its crystal system is triclinic. As for the formation energy: -2069.6 meV/atom. As for the space group: P-1, No. 2.

# 2
Li9Mn2Co5O16 | PBE with a Hubbard U | optimized geometry

Cell: 5.7942 6.6029 7.7919 Å, 85.86 78.55 77.20°
Sites, in units of the cell vectors:
Li 0.0000 0.0000 0.0000
Li 0.0579 0.1180 0.6354
Li 0.1202 0.2370 0.2677
Li 0.2434 0.4930 0.5188
Li 0.3671 0.7504 0.7584
Li 0.4960 0.0036 0.0042
Li 0.6239 0.2379 0.2643
Li 0.7504 0.4919 0.5188
Li 0.8753 0.7578 0.7590
Mn 0.4267 0.8763 0.3920
Mn 0.8110 0.6215 0.1388
Co 0.1853 0.3627 0.8772
Co 0.3120 0.6205 0.1322
Co 0.5622 0.1231 0.6354
Co 0.6937 0.3590 0.8793
Co 0.9342 0.8708 0.3886
O 0.0244 0.5781 0.3099
O 0.0786 0.6789 0.9656
O 0.1583 0.8101 0.5502
O 0.2143 0.9225 0.2204
O 0.2911 0.0667 0.8184
O 0.3489 0.1588 0.4446
O 0.3989 0.3242 0.0601
O 0.4709 0.4267 0.7007
O 0.5366 0.5784 0.3147
O 0.5928 0.6785 0.9723
O 0.6526 0.8156 0.5547
O 0.7190 0.9104 0.2148
O 0.7686 0.0714 0.8267
O 0.8320 0.1551 0.4536
O 0.8976 0.3322 0.0750
O 0.9625 0.4391 0.7170

Summary:
The value obtained for the total energy is -186.33 eV/cell. As for the distance to the lowest polymorph of the same formula: 0.032 eV/atom. The calculation puts the MP2020-corrected energy at -6.527 eV/atom. Its crystal system is triclinic. As for the formation energy: -1832.5 meV/atom. As for the space group: P1, No. 1.

# 3
Mg4FeO5 | PBE with a Hubbard U | optimized geometry

Cell: 5.2273 5.2273 15.5044 Å, 96.47 96.47 109.21°
Sites, in units of the cell vectors:
Mg 0.0501 0.5508 0.6010
Mg 0.1005 0.1005 0.7004
Mg 0.1495 0.6496 0.7990
Mg 0.1989 0.1989 0.8979
Mg 0.3010 0.3010 0.1019
Mg 0.3504 0.8505 0.2010
Mg 0.3991 0.3991 0.2985
Mg 0.4492 0.9499 0.3990
Mg 0.5508 0.0501 0.6010
Mg 0.6009 0.6009 0.7015
Mg 0.6496 0.1495 0.7990
Mg 0.6990 0.6990 0.8981
Mg 0.8011 0.8011 0.1021
Mg 0.8505 0.3504 0.2010
Mg 0.8995 0.8995 0.2996
Mg 0.9499 0.4492 0.3990
Fe 0.0000 0.0000 0.5000
Fe 0.2500 0.7500 0.0000
Fe 0.5000 0.5000 0.5000
Fe 0.7500 0.2500 0.0000
O 0.0000 0.0000 0.0000
O 0.0529 0.5529 0.1050
O 0.0998 0.0998 0.1996
O 0.1493 0.6507 0.3004
O 0.2010 0.2010 0.3952
O 0.2442 0.7558 0.5000
O 0.3072 0.3072 0.6043
O 0.3493 0.8507 0.6996
O 0.4002 0.4002 0.8003
O 0.4471 0.9471 0.8950
O 0.5000 0.5000 0.0000
O 0.5529 0.0529 0.1050
O 0.5998 0.5998 0.1997
O 0.6507 0.1493 0.3004
O 0.6928 0.6928 0.3957
O 0.7558 0.2442 0.5000
O 0.7990 0.7990 0.6048
O 0.8507 0.3493 0.6996
O 0.9002 0.9002 0.8004
O 0.9471 0.4471 0.8950

Summary:
The value obtained for the total energy is -245.04 eV/cell. As for the distance to the lowest polymorph of the same formula: 0.002 eV/atom. The calculation puts the MP2020-corrected energy at -6.695 eV/atom. Its crystal system is monoclinic. As for the formation energy: -2734.0 meV/atom. As for the space group: C2/m, No. 12.

# 4
MgCr2Sb2O8 | PBE with a Hubbard U | optimized geometry

Cell: 6.2670 6.2670 6.2670 Å, 121.93 116.87 91.09°
Sites, in units of the cell vectors:
Mg 0.0000 0.0000 0.0000
Cr 0.3835 0.1375 0.7540
Cr 0.3835 0.6296 0.2460
Sb 0.3844 0.6281 0.7563
Sb 0.8718 0.6281 0.2437
O 0.1450 0.4061 0.2611
O 0.1450 0.8838 0.7389
O 0.1552 0.8765 0.2787
O 0.1890 0.3906 0.7984
O 0.5922 0.3906 0.2016
O 0.5978 0.8765 0.7213
O 0.6137 0.3864 0.7727
O 0.6137 0.8410 0.2273

Summary:
The value obtained for the total energy is -85.64 eV/cell. As for the distance to the lowest polymorph of the same formula: 0.083 eV/atom. The calculation puts the MP2020-corrected energy at -7.318 eV/atom. Its crystal system is orthorhombic. As for the formation energy: -2029.3 meV/atom. As for the space group: Imm2, No. 44.

# 5
Li4CrFe3O8 | PBE with a Hubbard U | optimized geometry

Cell: 5.1960 5.9693 10.7561 Å, 106.06 94.59 106.81°
Sites, in units of the cell vectors:
Li 0.0000 0.0000 0.0000
Li 0.9998 0.1245 0.7504
Li 0.0000 0.5000 0.0000
Li 0.0002 0.8755 0.2496
Li 0.0009 0.2504 0.5002
Li 0.0029 0.6261 0.7498
Li 0.9971 0.3739 0.2502
Li 0.9991 0.7496 0.4998
Cr 0.4988 0.9372 0.1238
Cr 0.5012 0.0628 0.8762
Fe 0.4989 0.4377 0.1244
Fe 0.4990 0.8122 0.3741
Fe 0.5000 0.3120 0.3742
Fe 0.5000 0.6880 0.6258
Fe 0.5010 0.1878 0.6259
Fe 0.5011 0.5623 0.8756
O 0.2704 0.6627 0.1874
O 0.2714 0.0375 0.4395
O 0.2711 0.4122 0.6898
O 0.2707 0.5367 0.4384
O 0.2728 0.1610 0.1882
O 0.2735 0.7892 0.9397
O 0.2737 0.2859 0.9392
O 0.2740 0.9139 0.6914
O 0.7260 0.0861 0.3086
O 0.7263 0.7141 0.0608
O 0.7265 0.2108 0.0603
O 0.7272 0.8390 0.8118
O 0.7293 0.4633 0.5616
O 0.7289 0.5878 0.3102
O 0.7286 0.9625 0.5605
O 0.7296 0.3373 0.8126

Summary:
The value obtained for the total energy is -201.86 eV/cell. As for the distance to the lowest polymorph of the same formula: 0.000 eV/atom. The calculation puts the MP2020-corrected energy at -7.200 eV/atom. Its crystal system is triclinic. As for the formation energy: -2057.0 meV/atom. As for the space group: P-1, No. 2.

# 6
Na2Ni3P2H2O10 | PBE with a Hubbard U | optimized geometry

Cell: 7.7879 7.7879 4.9851 Å, 102.93 102.93 43.27°
Sites, in units of the cell vectors:
Na 0.2351 0.2351 0.2843
Na 0.7649 0.7649 0.7157
Ni 0.0000 0.0000 0.0000
Ni 0.2682 0.7318 0.5000
Ni 0.7318 0.2682 0.5000
P 0.3762 0.3762 0.9038
P 0.6238 0.6238 0.0962
H 0.1402 0.1402 0.7524
H 0.8598 0.8598 0.2476
O 0.0705 0.0705 0.7110
O 0.1879 0.6384 0.7827
O 0.2668 0.2668 0.8094
O 0.3616 0.8121 0.2173
O 0.4071 0.4071 0.2289
O 0.5929 0.5929 0.7711
O 0.6384 0.1879 0.7827
O 0.7332 0.7332 0.1906
O 0.8121 0.3616 0.2173
O 0.9295 0.9295 0.2890

Summary:
The value obtained for the total energy is -111.05 eV/cell. The calculation puts the MP2020-corrected energy at -6.608 eV/atom. Its crystal system is monoclinic. As for the formation energy: -2024.6 meV/atom. As for the space group: C2/m, No. 12.

# 7
Ni5SbP6O24 | PBE with a Hubbard U | optimized geometry

Cell: 8.5270 8.5270 8.5270 Å, 60.98 60.98 60.98°
Sites, in units of the cell vectors:
Ni 0.0000 0.0000 0.0000
Ni 0.1381 0.1381 0.1381
Ni 0.3524 0.3524 0.3524
Ni 0.4938 0.4938 0.4938
Ni 0.6358 0.6358 0.6358
Sb 0.8520 0.8520 0.8520
P 0.0418 0.4465 0.7416
P 0.2500 0.9463 0.5370
P 0.4465 0.7416 0.0418
P 0.5370 0.2500 0.9463
P 0.7416 0.0418 0.4465
P 0.9463 0.5370 0.2500
O 0.0021 0.6057 0.8132
O 0.0540 0.2521 0.9030
O 0.0830 0.9314 0.7421
O 0.1010 0.5070 0.3104
O 0.1808 0.9819 0.3852
O 0.2398 0.4360 0.5886
O 0.2521 0.9030 0.0540
O 0.3104 0.1010 0.5070
O 0.3852 0.1808 0.9819
O 0.4021 0.7463 0.5560
O 0.4360 0.5886 0.2398
O 0.4903 0.6748 0.8855
O 0.5070 0.3104 0.1010
O 0.5560 0.4021 0.7463
O 0.5886 0.2398 0.4360
O 0.6057 0.8132 0.0021
O 0.6748 0.8855 0.4903
O 0.7421 0.0830 0.9314
O 0.7463 0.5560 0.4021
O 0.8132 0.0021 0.6057
O 0.8855 0.4903 0.6748
O 0.9030 0.0540 0.2521
O 0.9314 0.7421 0.0830
O 0.9819 0.3852 0.1808

Summary:
The value obtained for the total energy is -229.30 eV/cell. The calculation puts the MP2020-corrected energy at -7.180 eV/atom. Its crystal system is trigonal. As for the formation energy: -2061.9 meV/atom. As for the space group: R3, No. 146.

# 8
Li2Ni3WO8 | PBE with a Hubbard U | optimized geometry

Cell: 5.9514 6.0247 10.2496 Å, 106.86 89.91 60.32°
Sites, in units of the cell vectors:
Ni 0.0013 0.0001 0.5002
Ni 0.2501 0.9996 0.2504
Ni 0.5015 0.9998 0.0001
Ni 0.7496 0.0007 0.2496
Ni 0.2497 0.0002 0.7495
Ni 0.7500 0.9994 0.7503
O 0.3692 0.2620 0.3616
O 0.1305 0.7383 0.1384
O 0.4069 0.1868 0.8697
O 0.0928 0.8128 0.6304
O 0.1420 0.2614 0.1325
O 0.0968 0.2614 0.6321
O 0.9069 0.1871 0.3697
O 0.4032 0.7390 0.8680
O 0.3587 0.7382 0.3672
O 0.8696 0.2615 0.8615
O 0.9030 0.7393 0.3680
O 0.6305 0.7382 0.6384
O 0.6418 0.2614 0.6326
O 0.5968 0.2615 0.1322
O 0.5931 0.8128 0.1304
O 0.8588 0.7381 0.8672
Li 0.8036 0.3926 0.0642
Li 0.1962 0.6077 0.9359
Li 0.6963 0.6075 0.4358
Li 0.3036 0.3924 0.5641
W 0.7489 0.5000 0.7501
W 0.2487 0.5003 0.2501

Summary:
The value obtained for the total energy is -158.22 eV/cell. As for the distance to the lowest polymorph of the same formula: 0.026 eV/atom. The calculation puts the MP2020-corrected energy at -6.905 eV/atom. As for the formation energy: -1640.6 meV/atom.

# 9
Li7Sc9FeSi20O60 | PBE with a Hubbard U | optimized geometry

Cell: 11.1784 11.1784 12.9008 Å, 104.71 104.71 47.76°
Sites, in units of the cell vectors:
Li 0.0000 0.0000 0.0000
Li 0.2025 0.1963 0.8005
Li 0.2040 0.1955 0.2992
Li 0.4046 0.3958 0.6000
Li 0.6042 0.5954 0.4000
Li 0.8045 0.7960 0.7008
Li 0.8037 0.7975 0.1995
Sc 0.0459 0.7597 0.5996
Sc 0.1582 0.4429 0.7006
Sc 0.2403 0.9541 0.4004
Sc 0.3558 0.6442 0.5000
Sc 0.4454 0.1586 0.1979
Sc 0.5571 0.8418 0.2994
Sc 0.7533 0.0497 0.0994
Sc 0.8414 0.5546 0.8021
Sc 0.9503 0.2467 0.9006
Fe 0.6446 0.3554 0.0000
Si 0.0313 0.6974 0.9341
Si 0.1004 0.4249 0.0304
Si 0.1072 0.7625 0.2637
Si 0.1740 0.4959 0.3672
Si 0.2375 0.8928 0.7363
Si 0.3026 0.9687 0.0659
Si 0.3080 0.6211 0.8356
Si 0.3789 0.6920 0.1644
Si 0.4292 0.0988 0.5316
Si 0.5016 0.1737 0.8678
Si 0.5041 0.8260 0.6328
Si 0.5751 0.8996 0.9696
Si 0.6344 0.2958 0.3343
Si 0.7038 0.0242 0.4316
Si 0.7042 0.3656 0.6657
Si 0.7727 0.0969 0.7677
Si 0.8263 0.4984 0.1322
Si 0.9012 0.5708 0.4684
Si 0.9031 0.2273 0.2323
Si 0.9758 0.2962 0.5684
O 0.0164 0.5188 0.3796
O 0.0309 0.3587 0.6862
O 0.0400 0.3683 0.9124
O 0.0746 0.5850 0.0214
O 0.0927 0.0900 0.2764
O 0.1002 0.0819 0.7825
O 0.1120 0.1004 0.0202
O 0.1205 0.1099 0.5254
O 0.1217 0.6104 0.2775
O 0.1753 0.8127 0.3797
O 0.1873 0.8247 0.6203
O 0.1891 0.6755 0.9227
O 0.2221 0.7133 0.1751
O 0.2320 0.5563 0.4844
O 0.2466 0.5653 0.7172
O 0.2871 0.2816 0.0740
O 0.2867 0.7779 0.8249
O 0.2968 0.2886 0.5781
O 0.3072 0.3062 0.3213
O 0.3112 0.3044 0.8225
O 0.3245 0.8109 0.0773
O 0.3624 0.0257 0.1842
O 0.3730 0.0365 0.4144
O 0.3896 0.8783 0.7225
O 0.4150 0.9254 0.9786
O 0.4347 0.7534 0.2828
O 0.4437 0.7680 0.5156
O 0.4812 0.9836 0.6204
O 0.4958 0.4763 0.8799
O 0.5002 0.4855 0.3799
O 0.5145 0.4998 0.6201
O 0.5237 0.5042 0.1201
O 0.5260 0.0163 0.8830
O 0.5740 0.2224 0.9826
O 0.5839 0.2277 0.2185
O 0.5874 0.0757 0.5199
O 0.6138 0.1188 0.7751
O 0.6317 0.9600 0.0876
O 0.6413 0.9691 0.3138
O 0.6783 0.1844 0.4231
O 0.6938 0.6928 0.6787
O 0.6956 0.6888 0.1775
O 0.7114 0.7032 0.4219
O 0.7184 0.7129 0.9260
O 0.7238 0.2103 0.6789
O 0.7723 0.4161 0.7815
O 0.7776 0.4260 0.0174
O 0.7897 0.2762 0.3211
O 0.8156 0.3217 0.5769
O 0.8278 0.1590 0.8858
O 0.8410 0.1722 0.1142
O 0.8812 0.3862 0.2249
O 0.8901 0.8795 0.4746
O 0.8996 0.8880 0.9798
O 0.9100 0.9073 0.7236
O 0.9181 0.8998 0.2175
O 0.9243 0.4126 0.4801
O 0.9635 0.6270 0.5856
O 0.9743 0.6376 0.8158
O 0.9837 0.4740 0.1170

Summary:
The value obtained for the total energy is -753.60 eV/cell. The calculation puts the MP2020-corrected energy at -8.217 eV/atom. Its crystal system is monoclinic. As for the formation energy: -3225.5 meV/atom. As for the space group: C2, No. 5.

# 10
Li9Mn2Co5O16 | PBE with a Hubbard U | optimized geometry

Cell: 3.0047 9.7997 10.0969 Å, 77.39 88.67 87.12°
Sites, in units of the cell vectors:
Li 0.0000 0.0000 0.0000
Li 0.0000 0.0000 0.5000
Li 0.9996 0.4983 0.2442
Li 0.0004 0.5017 0.7558
Li 0.4966 0.7509 0.1215
Li 0.4983 0.7491 0.6269
Li 0.5000 0.5000 0.0000
Li 0.5017 0.2509 0.3731
Li 0.5034 0.2491 0.8785
Mn 0.4956 0.0030 0.2485
Mn 0.5044 0.9970 0.7515
Co 0.0029 0.2515 0.6263
Co 0.0074 0.2620 0.1197
Co 0.5000 0.5000 0.5000
Co 0.9926 0.7380 0.8803
Co 0.9971 0.7485 0.3737
O 0.0033 0.6392 0.0450
O 0.0052 0.3774 0.4478
O 0.0258 0.1328 0.2967
O 0.0361 0.1252 0.8038
O 0.4703 0.6338 0.8177
O 0.4769 0.1278 0.0719
O 0.4917 0.8753 0.4277
O 0.4942 0.3739 0.6802
O 0.5058 0.6261 0.3198
O 0.5083 0.1247 0.5723
O 0.5231 0.8722 0.9281
O 0.5297 0.3662 0.1823
O 0.9639 0.8748 0.1962
O 0.9742 0.8672 0.7033
O 0.9948 0.6226 0.5522
O 0.9967 0.3608 0.9550

Summary:
The value obtained for the total energy is -184.63 eV/cell. As for the distance to the lowest polymorph of the same formula: 0.085 eV/atom. The calculation puts the MP2020-corrected energy at -6.473 eV/atom. Its crystal system is triclinic. As for the formation energy: -1779.1 meV/atom. As for the space group: P-1, No. 2.